Entry 1:
A geometry-optimized VH16C6N6O7F2 structure. Source: the Materials Project, functional PBE with a Hubbard U.

Lattice parameters (Å, degrees): 7.752 10.826 10.960 63.09 71.43 84.69
Fractional positions:
V  0.128  0.040  0.328
V  0.872  0.960  0.672
H  0.069  0.277  0.839
H  0.104  0.138  0.992
H  0.185  0.567  0.014
H  0.232  0.701  0.172
H  0.260  0.681  0.829
H  0.270  0.311  0.609
H  0.281  0.333  0.086
H  0.286  0.959  0.973
H  0.300  0.795  0.225
H  0.332  0.891  0.579
H  0.400  0.175  0.593
H  0.438  0.987  0.805
H  0.452  0.298  0.956
H  0.452  0.537  0.287
H  0.461  0.628  0.669
H  0.499  0.133  0.363
H  0.501  0.867  0.637
H  0.539  0.372  0.331
H  0.548  0.463  0.713
H  0.548  0.702  0.044
H  0.562  0.013  0.195
H  0.600  0.825  0.407
H  0.668  0.109  0.421
H  0.700  0.205  0.775
H  0.714  0.041  0.027
H  0.719  0.667  0.914
H  0.730  0.689  0.391
H  0.740  0.319  0.171
H  0.768  0.299  0.828
H  0.815  0.433  0.986
H  0.896  0.862  0.008
H  0.931  0.723  0.161
C  0.002  0.542  0.693
C  0.017  0.310  0.351
C  0.113  0.723  0.507
C  0.139  0.573  0.550
C  0.255  0.139  0.801
C  0.359  0.491  0.880
C  0.641  0.509  0.120
C  0.745  0.861  0.199
C  0.861  0.427  0.450
C  0.887  0.277  0.493
C  0.983  0.690  0.649
C  0.998  0.458  0.307
N  0.127  0.185  0.883
N  0.247  0.583  0.910
N  0.311  0.213  0.658
N  0.327  0.018  0.864
N  0.367  0.366  0.984
N  0.460  0.527  0.743
N  0.540  0.473  0.257
N  0.633  0.634  0.016
N  0.673  0.982  0.136
N  0.689  0.787  0.342
N  0.753  0.417  0.090
N  0.873  0.815  0.117
O  0.069  0.567  0.195
O  0.099  0.061  0.178
O  0.115  0.245  0.284
O  0.181  0.833  0.391
O  0.235  0.504  0.492
O  0.331  0.769  0.145
O  0.427  0.827  0.604
O  0.573  0.173  0.396
O  0.669  0.231  0.855
O  0.765  0.496  0.508
O  0.819  0.167  0.609
O  0.885  0.755  0.716
O  0.901  0.939  0.822
O  0.931  0.433  0.805
F  0.131  0.996  0.544
F  0.386  0.075  0.285
F  0.614  0.925  0.715
F  0.869  0.004  0.456

Computed properties:
Volume   10.21 Å³ per atom
Uncorrected energy   -6.162 eV/atom
ρ   1.60 Mg/m³
ΔH_f (0 K)   -0.90 eV/atom



Entry 2:
A geometry-optimized Fe3O2F2 structure. Source: the Materials Project, functional PBE with a Hubbard U.

Lattice parameters (Å, degrees): 8.541 6.450 6.111 90.00 90.00 90.00
Fractional positions:
Fe  0.000  0.000  0.000
Fe  0.000  0.000  0.500
Fe  0.000  0.500  0.000
Fe  0.000  0.500  0.500
Fe  0.274  0.249  0.250
Fe  0.274  0.251  0.750
Fe  0.308  0.750  0.000
Fe  0.308  0.750  0.500
Fe  0.692  0.250  0.000
Fe  0.692  0.250  0.500
Fe  0.726  0.749  0.250
Fe  0.726  0.751  0.750
O  0.232  0.033  0.501
O  0.232  0.033  0.999
O  0.232  0.467  0.001
O  0.232  0.467  0.499
O  0.768  0.533  0.501
O  0.768  0.533  0.999
O  0.768  0.967  0.001
O  0.768  0.967  0.499
F  0.011  0.749  0.750
F  0.011  0.751  0.250
F  0.486  0.740  0.250
F  0.486  0.760  0.750
F  0.514  0.240  0.250
F  0.514  0.260  0.750
F  0.989  0.249  0.750
F  0.989  0.251  0.250

Computed properties:
Volume   12.02 Å³ per atom
Uncorrected energy   -6.131 eV/atom
Excess energy over the best structure of this formula in the dataset   7.4 kJ per mole of atoms
ρ   4.69 Mg/m³
ΔH_f (0 K)   -1.84 eV/atom



Entry 3:
A geometry-optimized Zn7Mo6O24 structure. Source: the Materials Project, functional PBE with a Hubbard U.

Lattice parameters (Å, degrees): 7.073 8.280 10.173 103.30 105.62 100.92
Fractional positions:
Zn  0.000  0.000  0.000
Zn  0.044  0.700  0.512
Zn  0.268  0.778  0.282
Zn  0.385  0.459  0.106
Zn  0.615  0.541  0.894
Zn  0.732  0.222  0.718
Zn  0.956  0.300  0.488
Mo  0.097  0.597  0.836
Mo  0.229  0.146  0.771
Mo  0.405  0.221  0.378
Mo  0.595  0.779  0.622
Mo  0.771  0.854  0.229
Mo  0.903  0.403  0.164
O  0.017  0.211  0.669
O  0.060  0.545  0.641
O  0.110  0.813  0.939
O  0.146  0.539  0.153
O  0.188  0.923  0.692
O  0.224  0.180  0.953
O  0.234  0.272  0.469
O  0.283  0.008  0.252
O  0.331  0.527  0.916
O  0.356  0.771  0.489
O  0.446  0.368  0.279
O  0.472  0.255  0.766
O  0.528  0.745  0.234
O  0.554  0.632  0.721
O  0.644  0.229  0.511
O  0.669  0.473  0.084
O  0.717  0.992  0.748
O  0.766  0.728  0.531
O  0.776  0.820  0.047
O  0.812  0.077  0.308
O  0.854  0.461  0.847
O  0.890  0.187  0.061
O  0.940  0.455  0.359
O  0.983  0.789  0.331

Computed properties:
Volume   14.54 Å³ per atom
Uncorrected energy   -6.095 eV/atom
ρ   4.38 Mg/m³
ΔH_f (0 K)   -1.85 eV/atom



Entry 4:
A geometry-optimized Zn2Co2O5 structure. Source: the Materials Project, functional PBE with a Hubbard U.

Lattice parameters (Å, degrees): 6.275 3.258 10.742 90.00 90.87 90.00
Fractional positions:
Zn  0.000  0.000  0.000
Zn  0.149  0.000  0.504
Zn  0.493  0.000  0.723
Zn  0.708  0.000  0.218
Co  0.016  0.500  0.736
Co  0.192  0.500  0.234
Co  0.540  0.500  0.976
Co  0.648  0.500  0.482
O  0.028  0.000  0.186
O  0.044  0.500  0.904
O  0.177  0.000  0.698
O  0.191  0.500  0.401
O  0.360  0.500  0.104
O  0.516  0.000  0.537
O  0.589  0.500  0.807
O  0.654  0.500  0.311
O  0.676  0.000  0.027
O  0.895  0.500  0.578

Computed properties:
Volume   12.20 Å³ per atom
Uncorrected energy   -5.178 eV/atom
ρ   4.97 Mg/m³
ΔH_f (0 K)   -1.31 eV/atom



Entry 5:
A geometry-optimized Li2VC2O6 structure. Source: the Materials Project, functional PBE with a Hubbard U.

Lattice parameters (Å, degrees): 6.200 9.232 8.380 98.66 77.02 105.19
Fractional positions:
O  0.868  0.629  0.656
O  0.105  0.867  0.424
O  0.187  0.425  0.698
O  0.368  0.129  0.656
O  0.063  0.824  0.802
O  0.895  0.132  0.576
O  0.145  0.383  0.076
O  0.882  0.120  0.844
O  0.117  0.880  0.156
O  0.617  0.380  0.156
O  0.395  0.632  0.576
O  0.605  0.367  0.424
O  0.813  0.575  0.302
O  0.645  0.883  0.076
O  0.382  0.620  0.844
O  0.437  0.676  0.198
O  0.563  0.324  0.802
O  0.313  0.075  0.302
O  0.355  0.117  0.924
O  0.687  0.925  0.698
O  0.632  0.871  0.344
O  0.133  0.371  0.344
O  0.855  0.617  0.924
O  0.937  0.176  0.198
C  0.323  0.559  0.706
C  0.573  0.810  0.206
C  0.677  0.441  0.294
C  0.823  0.059  0.706
C  0.927  0.691  0.794
C  0.177  0.941  0.294
C  0.073  0.309  0.206
C  0.427  0.191  0.794
Li  0.733  0.089  0.392
Li  0.017  0.661  0.108
Li  0.233  0.589  0.392
Li  0.483  0.839  0.892
Li  0.767  0.411  0.608
Li  0.517  0.161  0.108
Li  0.267  0.911  0.608
Li  0.983  0.339  0.892
V  0.000  0.000  0.000
V  0.500  0.500  0.000
V  0.750  0.750  0.500
V  0.250  0.250  0.500

Computed properties:
Volume   10.20 Å³ per atom
Uncorrected energy   -7.151 eV/atom
Excess energy over the best structure of this formula in the dataset   0.0 kJ per mole of atoms
ρ   2.74 Mg/m³
ΔH_f (0 K)   -2.13 eV/atom



Entry 6:
A geometry-optimized Mg8Mn3O11 structure. Source: the Materials Project, functional PBE with a Hubbard U.

Lattice parameters (Å, degrees): 3.055 5.274 27.641 91.84 93.17 90.00
Fractional positions:
O  0.475  0.158  0.950
O  0.842  0.614  0.684
O  0.298  0.433  0.596
O  0.612  0.203  0.224
O  0.386  0.795  0.773
O  0.431  0.477  0.862
O  0.931  0.977  0.862
O  0.975  0.658  0.950
O  0.161  0.388  0.322
O  0.024  0.342  0.049
O  0.568  0.523  0.136
O  0.205  0.068  0.409
O  0.661  0.888  0.322
O  0.524  0.842  0.049
O  0.068  0.023  0.136
O  0.112  0.703  0.224
O  0.748  0.249  0.497
O  0.705  0.568  0.409
O  0.248  0.749  0.497
O  0.886  0.295  0.773
O  0.798  0.933  0.596
O  0.342  0.114  0.684
Mn  0.636  0.546  0.273
Mn  0.136  0.045  0.273
Mn  0.000  0.000  0.999
Mn  0.500  0.500  0.999
Mn  0.773  0.591  0.546
Mn  0.273  0.091  0.546
Mg  0.546  0.182  0.092
Mg  0.453  0.818  0.906
Mg  0.409  0.136  0.817
Mg  0.864  0.955  0.728
Mg  0.683  0.228  0.365
Mg  0.590  0.863  0.180
Mg  0.820  0.273  0.639
Mg  0.364  0.455  0.728
Mg  0.953  0.317  0.906
Mg  0.183  0.728  0.365
Mg  0.320  0.773  0.639
Mg  0.909  0.636  0.817
Mg  0.046  0.682  0.092
Mg  0.727  0.909  0.453
Mg  0.090  0.363  0.180
Mg  0.227  0.409  0.453

Computed properties:
Volume   10.10 Å³ per atom
Uncorrected energy   -6.484 eV/atom
ρ   4.00 Mg/m³
ΔH_f (0 K)   -2.75 eV/atom



Entry 7:
A geometry-optimized V2NiP2O10 structure. Source: the Materials Project, functional PBE with a Hubbard U.

Lattice parameters (Å, degrees): 7.739 7.855 8.742 90.00 121.56 90.00
Fractional positions:
V  0.247  0.195  0.199
V  0.247  0.305  0.699
V  0.753  0.695  0.301
V  0.753  0.805  0.801
Ni  0.000  0.000  0.500
Ni  0.000  0.500  0.000
P  0.002  0.646  0.722
P  0.002  0.854  0.222
P  0.998  0.146  0.778
P  0.998  0.354  0.278
O  0.113  0.220  0.439
O  0.113  0.280  0.939
O  0.124  0.523  0.680
O  0.124  0.726  0.907
O  0.124  0.774  0.407
O  0.124  0.977  0.180
O  0.185  0.068  0.769
O  0.185  0.432  0.269
O  0.486  0.192  0.272
O  0.486  0.308  0.772
O  0.514  0.692  0.228
O  0.514  0.808  0.728
O  0.815  0.568  0.731
O  0.815  0.932  0.231
O  0.876  0.023  0.820
O  0.876  0.226  0.593
O  0.876  0.274  0.093
O  0.876  0.477  0.320
O  0.887  0.720  0.061
O  0.887  0.780  0.561

Computed properties:
Volume   15.09 Å³ per atom
Uncorrected energy   -6.914 eV/atom
Excess energy over the best structure of this formula in the dataset   30.6 kJ per mole of atoms
ρ   2.81 Mg/m³
ΔH_f (0 K)   -2.15 eV/atom



Entry 8:
A geometry-optimized TiMn3O8 structure. Source: the Materials Project, functional PBE with a Hubbard U.

Lattice parameters (Å, degrees): 5.814 5.814 10.227 73.49 90.00 120.00
Fractional positions:
O  0.416  0.832  0.198
O  0.209  0.418  0.927
O  0.430  0.859  0.711
O  0.416  0.386  0.198
O  0.916  0.386  0.698
O  0.930  0.859  0.211
O  0.655  0.864  0.927
O  0.209  0.864  0.927
O  0.470  0.386  0.698
O  0.970  0.386  0.198
O  0.709  0.864  0.427
O  0.695  0.391  0.914
O  0.155  0.864  0.427
O  0.195  0.391  0.414
O  0.709  0.418  0.427
O  0.916  0.832  0.698
Mn  0.062  0.125  0.312
Mn  0.062  0.625  0.812
Mn  0.062  0.625  0.312
Mn  0.562  0.125  0.812
Mn  0.562  0.625  0.812
Mn  0.562  0.625  0.312
Ti  0.312  0.625  0.062
Ti  0.812  0.625  0.562

Computed properties:
Volume   11.78 Å³ per atom
Uncorrected energy   -7.508 eV/atom
Excess energy over the best structure of this formula in the dataset   5.0 kJ per mole of atoms
ρ   4.00 Mg/m³
ΔH_f (0 K)   -2.14 eV/atom



Entry 9:
A geometry-optimized Ca2Gd2MnNiO8 structure. Source: the Materials Project, functional PBE with a Hubbard U.

Lattice parameters (Å, degrees): 6.439 6.439 5.592 90.44 90.44 48.87
Fractional positions:
Ca  0.000  0.000  0.000
Ca  0.210  0.210  0.512
Gd  0.493  0.493  0.459
Gd  0.716  0.716  0.967
Mn  0.856  0.856  0.484
Ni  0.355  0.355  0.983
O  0.019  0.019  0.425
O  0.080  0.587  0.244
O  0.124  0.629  0.723
O  0.183  0.183  0.921
O  0.535  0.535  0.061
O  0.587  0.080  0.244
O  0.629  0.124  0.723
O  0.683  0.683  0.554

Computed properties:
Volume   12.47 Å³ per atom
Uncorrected energy   -8.402 eV/atom
ρ   6.05 Mg/m³
ΔH_f (0 K)   -2.90 eV/atom